# NdCu2

A relaxed structure of NdCu2 (PBE, Materials Project).

- calculated volume (Å³ per cell) = 112.7
- total DFT energy (no corrections) (eV per atom) = -4.525
- SG = Imma

Cell: 5.5366 5.5366 5.5366 Å, 133.70 100.72 97.08°
Closest atoms and distances in Å follow each position.
Fractional coordinates of all 6 atoms:
Nd (0.2909, 0.0409, 0.2500)  12 Cu 2.99-3.18
Nd (0.7091, 0.9591, 0.7500)  12 Cu 2.99-3.18
Cu (0.1126, 0.6652, 0.4474)  4 Cu 2.51-2.79
Cu (0.2821, 0.3348, 0.9474)  4 Cu 2.51-2.79
Cu (0.7179, 0.6652, 0.0526)  4 Cu 2.51-2.79
Cu (0.8874, 0.3348, 0.5526)  4 Cu 2.51-2.79

***

# Bi14PdBr16

A relaxed structure of Bi14PdBr16 (PBE, Materials Project).

- calculated volume (Å³ per cell) = 1151.4
- size of the total moment (μB per formula unit) = 0.00
- total DFT energy (no corrections) (eV per atom) = -3.295
- SG = P-1

Cell: 11.1188 11.2651 11.3205 Å, 118.51 108.53 92.01°
Closest atoms and distances in Å follow each position.
Fractional coordinates of all 31 atoms:
Bi (0.0063, 0.3097, 0.2045)  1 Pd 3.02, 4 Bi 3.13-3.20
Bi (0.0129, 0.8016, 0.5915)  1 Pd 3.03, 4 Bi 3.15-3.22
Bi (0.1355, 0.4367, 0.7343)  1 Pd 3.02, 4 Bi 3.12-3.20
Bi (0.1677, 0.6164, 0.3991)  1 Pd 3.02, 4 Bi 3.12-3.22
Bi (0.2478, 0.3967, 0.4944)  1 Pd 3.04, 4 Bi 3.17-3.19
Bi (0.3454, 0.8970, 0.2845)  5 Br 2.75-3.06
Bi (0.3818, 0.1624, 0.0299)  5 Br 2.77-3.04
Bi (0.6182, 0.8376, 0.9701)  5 Br 2.77-3.04
Bi (0.6546, 0.1030, 0.7155)  5 Br 2.75-3.06
Bi (0.7522, 0.6033, 0.5056)  1 Pd 3.04, 4 Bi 3.17-3.19
Bi (0.8323, 0.3836, 0.6009)  1 Pd 3.02, 4 Bi 3.12-3.22
Bi (0.8645, 0.5633, 0.2657)  1 Pd 3.02, 4 Bi 3.12-3.20
Bi (0.9871, 0.1984, 0.4085)  1 Pd 3.03, 4 Bi 3.15-3.22
Bi (0.9937, 0.6903, 0.7955)  1 Pd 3.02, 4 Bi 3.13-3.20
Pd (0.0000, 0.5000, 0.5000)  10 Bi 3.02-3.04
Br (0.1432, 0.1758, 0.8665)  1 Bi 2.77
Br (0.1670, 0.6432, 0.1014)  1 Bi 2.78
Br (0.1973, 0.9735, 0.4512)  1 Bi 2.75
Br (0.2082, 0.0120, 0.1121)  2 Bi 2.91-3.14
Br (0.3738, 0.8856, 0.7966)  2 Bi 2.95-3.04
Br (0.4262, 0.4204, 0.2828)  1 Bi 2.82
Br (0.4799, 0.7160, 0.0666)  1 Bi 2.79
Br (0.4931, 0.8100, 0.4801)  2 Bi 2.90-3.06
Br (0.5069, 0.1900, 0.5199)  2 Bi 2.90-3.06
Br (0.5201, 0.2840, 0.9334)  1 Bi 2.79
Br (0.5738, 0.5796, 0.7172)  1 Bi 2.82
Br (0.6262, 0.1144, 0.2034)  2 Bi 2.95-3.04
Br (0.7918, 0.9880, 0.8879)  2 Bi 2.91-3.14
Br (0.8027, 0.0265, 0.5488)  1 Bi 2.75
Br (0.8330, 0.3568, 0.8986)  1 Bi 2.78
Br (0.8568, 0.8242, 0.1335)  1 Bi 2.77

***

# MgI3

A relaxed structure of MgI3 (PBE, Materials Project).

- calculated volume (Å³ per cell) = 414.7
- total DFT energy (no corrections) (eV per atom) = -2.137
- SG = P6_3/mmc

Cell: 11.7660 11.7660 3.4592 Å, 90.00 90.00 120.00°
Closest atoms and distances in Å follow each position.
Fractional coordinates of all 8 atoms:
Mg (0.3333, 0.6667, 0.2500)  6 I 2.94
Mg (0.6667, 0.3333, 0.7500)  6 I 2.94
I (0.2166, 0.4333, 0.7500)  2 Mg 2.94
I (0.2166, 0.7834, 0.7500)  2 Mg 2.94
I (0.4333, 0.2166, 0.2500)  2 Mg 2.94
I (0.5667, 0.7834, 0.7500)  2 Mg 2.94
I (0.7834, 0.2166, 0.2500)  2 Mg 2.94
I (0.7834, 0.5667, 0.2500)  2 Mg 2.94

***

# NaZnO3

A relaxed structure of NaZnO3 (PBE, Materials Project).

- calculated volume (Å³ per cell) = 586.5
- size of the total moment (μB per formula unit) = 1.23
- total DFT energy (no corrections) (eV per atom) = -3.992
- SG = P4_2/mbc

Cell: 12.7814 12.7814 3.5903 Å, 90.00 90.00 90.00°
Closest atoms and distances in Å follow each position.
Fractional coordinates of all 40 atoms:
Na (0.1394, 0.1429, 0.0000)  4 O 2.29-2.54
Na (0.1429, 0.8606, 0.5000)  4 O 2.29-2.54
Na (0.3571, 0.3606, 0.5000)  4 O 2.29-2.54
Na (0.3606, 0.6429, 0.0000)  4 O 2.29-2.54
Na (0.6394, 0.3571, 0.0000)  4 O 2.29-2.54
Na (0.6429, 0.6394, 0.5000)  4 O 2.29-2.54
Na (0.8571, 0.1394, 0.5000)  4 O 2.29-2.54
Na (0.8606, 0.8571, 0.0000)  4 O 2.29-2.54
Zn (0.0280, 0.3273, 0.5000)  5 O 1.89-2.08
Zn (0.1727, 0.4720, 0.0000)  5 O 1.89-2.08
Zn (0.3273, 0.9720, 0.0000)  5 O 1.89-2.08
Zn (0.4720, 0.8273, 0.5000)  5 O 1.89-2.08
Zn (0.5280, 0.1727, 0.5000)  5 O 1.89-2.08
Zn (0.6727, 0.0280, 0.0000)  5 O 1.89-2.08
Zn (0.8273, 0.5280, 0.0000)  5 O 1.89-2.08
Zn (0.9720, 0.6727, 0.5000)  5 O 1.89-2.08
O (0.0325, 0.1763, 0.5000)  1 Zn 1.93
O (0.0695, 0.3473, 0.0000)  3 Zn 1.89-2.07
O (0.1346, 0.6620, 0.5000)  2 O 1.86, 1 Zn 2.08
O (0.1527, 0.4305, 0.5000)  3 Zn 1.89-2.07
O (0.1620, 0.6346, 0.0000)  2 O 1.86, 1 Zn 2.08
O (0.1763, 0.9675, 0.0000)  1 Zn 1.93
O (0.3237, 0.4675, 0.0000)  1 Zn 1.93
O (0.3379, 0.1346, 0.0000)  2 O 1.86, 1 Zn 2.08
O (0.3473, 0.9305, 0.5000)  3 Zn 1.89-2.07
O (0.3654, 0.1620, 0.5000)  2 O 1.86, 1 Zn 2.08
O (0.4305, 0.8473, 0.0000)  3 Zn 1.89-2.07
O (0.4675, 0.6763, 0.5000)  1 Zn 1.93
O (0.5325, 0.3237, 0.5000)  1 Zn 1.93
O (0.5695, 0.1527, 0.0000)  3 Zn 1.89-2.07
O (0.6346, 0.8380, 0.5000)  2 O 1.86, 1 Zn 2.08
O (0.6527, 0.0695, 0.5000)  3 Zn 1.89-2.07
O (0.6620, 0.8654, 0.0000)  2 O 1.86, 1 Zn 2.08
O (0.6763, 0.5325, 0.0000)  1 Zn 1.93
O (0.8237, 0.0325, 0.0000)  1 Zn 1.93
O (0.8380, 0.3654, 0.0000)  2 O 1.86, 1 Zn 2.08
O (0.8473, 0.5695, 0.5000)  3 Zn 1.89-2.07
O (0.8654, 0.3379, 0.5000)  2 O 1.86, 1 Zn 2.08
O (0.9305, 0.6527, 0.0000)  3 Zn 1.89-2.07
O (0.9675, 0.8237, 0.5000)  1 Zn 1.93

***

Number 1: formation energy from the elements -0.2025 eV per atom. Number 2: formation energy from the elements -0.8021 eV per atom. Number 3: formation energy from the elements -0.8786 eV per atom. Number 4: formation energy from the elements -0.9188 eV per atom.